## La5Mn7CoPb3O24 (PBE with a Hubbard U)

Data for a relaxed La5Mn7CoPb3O24 crystal.

```
La5Mn7CoPb3O24
1.0
5.5143 0.0000 0.0000
-0.1040 7.9542 0.0000
-0.0013 -0.0122 11.1246
O La Mn Pb Co
24 5 7 3 1
direct
0.7331 0.0365 0.3873 O
0.2213 0.0317 0.3644 O
0.4980 0.2564 0.2208 O
0.7748 0.4794 0.8643 O
0.5015 0.2492 0.7209 O
0.2755 0.4591 0.3866 O
0.7276 0.5156 0.1150 O
0.7185 0.0296 0.8901 O
0.2808 0.4714 0.8918 O
0.7874 0.9817 0.1403 O
0.2107 0.5194 0.1467 O
0.7261 0.5233 0.6121 O
0.5020 0.7412 0.2715 O
0.9984 0.2494 0.5200 O
0.9994 0.7516 0.4675 O
0.2760 0.9766 0.6129 O
0.2186 0.5314 0.6384 O
0.7778 0.4673 0.3602 O
0.7805 0.9690 0.6403 O
0.2628 0.9859 0.1149 O
0.0008 0.2492 0.0270 O
0.9994 0.7513 0.9740 O
0.4993 0.7510 0.7734 O
0.2258 0.0232 0.8621 O
0.5006 0.2481 0.0010 La
0.0018 0.2477 0.2500 La
0.9977 0.7541 0.2478 La
0.0004 0.7502 0.7502 La
0.5013 0.2475 0.4999 La
0.4999 0.4998 0.7500 Mn
0.0011 0.4996 0.0000 Mn
0.9990 0.0013 0.4995 Mn
0.0000 0.5011 0.5001 Mn
0.4991 0.4997 0.2501 Mn
0.0017 0.9995 0.0003 Mn
0.5001 0.0001 0.7502 Mn
0.5000 0.7506 0.4988 Pb
0.5017 0.7497 0.0004 Pb
0.9995 0.2512 0.7493 Pb
0.5001 0.9995 0.2499 Co
```

Results
ΔE_f   -2459 meV per atom

---

## GaFeO3 (PBE with a Hubbard U)

Data for a relaxed GaFeO3 crystal.

```
GaFeO3
1.0
5.1646 0.0000 0.0000
0.0105 8.8598 0.0000
0.0187 0.0060 9.5317
O Fe Ga
24 8 8
direct
0.6538 0.6702 0.6711 O
0.1569 0.1583 0.6977 O
0.3467 0.3302 0.1721 O
0.1549 0.4977 0.7015 O
0.4847 0.8320 0.9385 O
0.9844 0.6688 0.9397 O
0.3440 0.9981 0.2029 O
0.8462 0.8394 0.1966 O
0.8454 0.1685 0.1700 O
0.1538 0.8307 0.6731 O
0.9863 0.9892 0.4323 O
0.3460 0.6611 0.1965 O
0.5129 0.4891 0.9318 O
0.4859 0.5122 0.4314 O
0.8440 0.5021 0.2030 O
0.5252 0.8235 0.4224 O
0.0250 0.6786 0.4238 O
0.5156 0.1696 0.4399 O
0.0151 0.3305 0.4402 O
0.6478 0.9979 0.7031 O
0.4738 0.1775 0.9241 O
0.9787 0.3257 0.9254 O
0.6523 0.3411 0.6964 O
0.0228 0.0079 0.9308 O
0.3101 0.6532 0.5832 Fe
0.1756 0.4694 0.2978 Fe
0.6755 0.0304 0.2982 Fe
0.8236 0.5309 0.7976 Fe
0.8121 0.8482 0.5828 Fe
0.8124 0.1604 0.8073 Fe
0.1911 0.1516 0.0828 Fe
0.6901 0.3484 0.0823 Fe
0.1769 0.1526 0.5000 Ga
0.1857 0.8391 0.3060 Ga
0.6853 0.6614 0.3060 Ga
0.3230 0.9663 0.7968 Ga
0.6753 0.3482 0.4991 Ga
0.8244 0.8469 0.9989 Ga
0.3131 0.3393 0.8065 Ga
0.3236 0.6536 0.9988 Ga
```

Results
ΔE_f   -1951 meV per atom

---

## Li2Mn3SbO8 (PBE with a Hubbard U)

Data for a relaxed Li2Mn3SbO8 crystal.

```
Li2Mn3SbO8
1.0
6.0296 0.0000 0.0000
-3.0148 5.2218 -0.0001
0.0000 -0.0001 9.8031
O Li Mn Sb
16 4 6 2
direct
0.0000 0.0000 0.2961 O
0.8073 0.1428 0.0911 O
0.4791 0.0366 0.8501 O
0.0366 0.4791 0.3501 O
0.5574 0.5209 0.8501 O
0.0000 0.0000 0.7961 O
0.4426 0.9635 0.3501 O
0.6645 0.8572 0.5911 O
0.1428 0.8073 0.5911 O
0.3355 0.1927 0.0911 O
0.6667 0.3333 0.6181 O
0.1927 0.3355 0.5911 O
0.5209 0.5575 0.3501 O
0.3333 0.6667 0.1181 O
0.8572 0.6646 0.0912 O
0.9634 0.4426 0.8501 O
0.0000 0.0000 0.4862 Li
0.3333 0.6667 0.9049 Li
0.0000 0.0000 0.9862 Li
0.6667 0.3334 0.4049 Li
0.1605 0.8217 0.2133 Mn
0.1783 0.3388 0.2133 Mn
0.8395 0.6612 0.7133 Mn
0.8217 0.1605 0.7133 Mn
0.6612 0.8395 0.2133 Mn
0.3388 0.1784 0.7133 Mn
0.3333 0.6667 0.4851 Sb
0.6667 0.3333 0.9851 Sb
```

Results
ΔE_f   -2112 meV per atom
Polymorph energy (0 for the lowest one)   0.00 eV/f.u.

---

## LiMn3P3O11 (PBE with a Hubbard U)

Data for a relaxed LiMn3P3O11 crystal.

```
LiMn3P3O11
1.0
9.1507 0.0000 0.0000
0.0000 8.0733 0.0000
0.0000 1.2477 11.5560
O Li Mn P
44 4 12 12
direct
0.5216 0.3039 0.7205 O
0.9784 0.3039 0.2205 O
0.2773 0.1340 0.2296 O
0.2373 0.7832 0.6474 O
0.7346 0.5804 0.6925 O
0.0148 0.6496 0.5648 O
0.5000 0.0393 0.6161 O
0.2227 0.1340 0.7296 O
0.0216 0.6961 0.7795 O
0.9998 0.6783 0.2838 O
0.7227 0.8660 0.7704 O
0.5000 0.9607 0.3839 O
0.5148 0.3504 0.9352 O
0.4784 0.6961 0.2795 O
0.4998 0.3217 0.2162 O
0.7377 0.2114 0.6033 O
0.0000 0.0393 0.1161 O
0.9936 0.3266 0.0038 O
0.2377 0.7886 0.8967 O
0.0000 0.9607 0.8839 O
0.9916 0.9408 0.6209 O
0.2627 0.7832 0.1474 O
0.2701 0.4002 0.0937 O
0.4916 0.0592 0.8791 O
0.5084 0.9408 0.1209 O
0.0064 0.6734 0.9962 O
0.4936 0.6734 0.4962 O
0.0084 0.0592 0.3791 O
0.7654 0.5804 0.1925 O
0.2654 0.4196 0.3075 O
0.7373 0.2168 0.8526 O
0.5064 0.3266 0.5038 O
0.7773 0.8660 0.2704 O
0.7701 0.5998 0.4063 O
0.7299 0.5998 0.9063 O
0.7627 0.2168 0.3526 O
0.4852 0.6496 0.0648 O
0.5002 0.6783 0.7838 O
0.2299 0.4002 0.5937 O
0.2623 0.7886 0.3967 O
0.2346 0.4196 0.8075 O
0.0002 0.3217 0.7162 O
0.9852 0.3504 0.4352 O
0.7623 0.2114 0.1033 O
0.7448 0.8860 0.5052 Li
0.2448 0.1140 0.9948 Li
0.7552 0.8860 0.0052 Li
0.2552 0.1140 0.4948 Li
0.8734 0.0704 0.7403 Mn
0.1496 0.5432 0.4320 Mn
0.6026 0.4367 0.3530 Mn
0.1266 0.9296 0.2597 Mn
0.3504 0.5432 0.9320 Mn
0.8974 0.4367 0.8530 Mn
0.1026 0.5633 0.1470 Mn
0.6266 0.0704 0.2403 Mn
0.3734 0.9296 0.7597 Mn
0.3974 0.5633 0.6470 Mn
0.8504 0.4568 0.5680 Mn
0.6496 0.4568 0.0680 Mn
0.0685 0.7890 0.8960 P
0.0690 0.7748 0.6457 P
0.5685 0.2110 0.6040 P
0.9315 0.2110 0.1040 P
0.5690 0.2252 0.8543 P
0.9310 0.2252 0.3543 P
0.4310 0.7748 0.1457 P
0.4315 0.7890 0.3960 P
0.8258 0.6852 0.2862 P
0.6742 0.6852 0.7862 P
0.3258 0.3148 0.2138 P
0.1742 0.3148 0.7138 P
```

Results
ΔE_f   -2515 meV per atom
Polymorph energy (0 for the lowest one)   0.55 eV/f.u.

---

## MoN2OF5 (PBE with a Hubbard U)

Data for a relaxed MoN2OF5 crystal.

```
MoN2OF5
1.0
-5.6937 0.0000 0.0000
0.0000 0.0000 -7.6555
2.8469 -7.5215 0.0000
F O Mo N
10 2 2 4
direct
0.8810 0.6684 0.2323 F
0.6487 0.1684 0.7677 F
0.1149 0.8192 0.7605 F
0.3544 0.3192 0.2395 F
0.3513 0.6684 0.2323 F
0.1190 0.1684 0.7677 F
0.6456 0.8192 0.7605 F
0.2414 0.4991 0.4828 F
0.7586 0.9991 0.5172 F
0.8851 0.3192 0.2395 F
0.9911 0.4896 0.9822 O
0.0089 0.9896 0.0178 O
0.8883 0.9940 0.7765 Mo
0.1117 0.4940 0.2235 Mo
0.7689 0.4973 0.5378 N
0.4429 0.5065 0.8859 N
0.2311 0.9973 0.4622 N
0.5571 0.0065 0.1141 N
```

Results
ΔE_f   -529 meV per atom

---

## Li2P8W3O29 (PBE with a Hubbard U)

Data for a relaxed Li2P8W3O29 crystal.

```
Li2P8W3O29
1.0
4.9955 8.6251 0.0000
-4.9955 8.6251 0.0000
0.0000 0.2534 14.5367
O W P Li
58 6 16 4
direct
0.2544 0.0902 0.8216 O
0.9871 0.2161 0.5773 O
0.3535 0.7406 0.1713 O
0.9192 0.4598 0.6724 O
0.2080 0.7979 0.7538 O
0.5282 0.0931 0.8241 O
0.3304 0.1952 0.6644 O
0.3419 0.9087 0.6574 O
0.5236 0.6583 0.3250 O
0.0191 0.1750 0.9251 O
0.0208 0.7590 0.4314 O
0.8052 0.6634 0.8229 O
0.7424 0.9139 0.1647 O
0.3306 0.3636 0.5269 O
0.3636 0.3306 0.0269 O
0.6679 0.6569 0.4708 O
0.7979 0.2080 0.2538 O
0.0722 0.3746 0.8384 O
0.9998 0.8073 0.0827 O
0.8073 0.9998 0.5827 O
0.9087 0.3419 0.1574 O
0.7993 0.9867 0.7592 O
0.7406 0.3535 0.6713 O
0.4862 0.1865 0.1750 O
0.4598 0.9192 0.1724 O
0.9219 0.6251 0.1696 O
0.2161 0.9871 0.0773 O
0.6493 0.0961 0.3327 O
0.6583 0.5236 0.8250 O
0.0961 0.6493 0.8327 O
0.5185 0.8084 0.8191 O
0.1865 0.4862 0.6750 O
0.9921 0.2061 0.7523 O
0.1952 0.3304 0.1644 O
0.5406 0.3796 0.3310 O
0.3796 0.5406 0.8310 O
0.3746 0.0722 0.3384 O
0.2095 0.7769 0.5806 O
0.7856 0.2054 0.4276 O
0.7769 0.2095 0.0806 O
0.9867 0.7993 0.2592 O
0.2535 0.6561 0.3274 O
0.6251 0.9219 0.6696 O
0.7590 0.0208 0.9314 O
0.4732 0.3414 0.6786 O
0.2054 0.7856 0.9276 O
0.0902 0.2544 0.3216 O
0.3414 0.4732 0.1786 O
0.9139 0.7424 0.6647 O
0.6212 0.4596 0.1730 O
0.6561 0.2535 0.8274 O
0.6569 0.6679 0.9708 O
0.4596 0.6212 0.6730 O
0.6634 0.8052 0.3229 O
0.0931 0.5282 0.3241 O
0.1750 0.0191 0.4251 O
0.8084 0.5185 0.3191 O
0.2061 0.9921 0.2523 O
0.5629 0.4368 0.7512 W
0.4368 0.5629 0.2512 W
0.0005 0.4332 0.2417 W
0.5612 0.9996 0.2553 W
0.4332 0.0005 0.7417 W
0.9996 0.5612 0.7553 W
0.6568 0.6716 0.8700 P
0.2145 0.0803 0.3429 P
0.7857 0.9177 0.6611 P
0.6716 0.6568 0.3700 P
0.6847 0.0832 0.8422 P
0.3060 0.9172 0.1606 P
0.9172 0.3060 0.6606 P
0.6967 0.2216 0.3446 P
0.3425 0.3300 0.1278 P
0.2216 0.6967 0.8446 P
0.9177 0.7857 0.1611 P
0.0832 0.6847 0.3422 P
0.3300 0.3425 0.6278 P
0.7774 0.3022 0.1589 P
0.3022 0.7774 0.6589 P
0.0803 0.2145 0.8429 P
0.0621 0.9788 0.9987 Li
0.6824 0.0901 0.0526 Li
0.9788 0.0621 0.4987 Li
0.0901 0.6824 0.5526 Li
```

Results
ΔE_f   -2483 meV per atom

---

## V2ZnO4 (PBE with a Hubbard U)

Data for a relaxed V2ZnO4 crystal.

```
V2ZnO4
1.0
3.0342 -5.2554 0.0000
3.0342 5.2554 0.0000
0.0000 0.0000 14.8778
O V Zn
24 12 6
direct
0.4918 0.5082 0.7556 O
0.8448 0.1552 0.9108 O
0.6791 0.8395 0.0899 O
0.1605 0.3209 0.0899 O
0.8198 0.1802 0.4214 O
0.5150 0.0300 0.2479 O
0.3333 0.6667 0.4258 O
0.3604 0.1802 0.4214 O
0.3103 0.1552 0.9108 O
0.1777 0.3554 0.5749 O
0.5150 0.4850 0.2479 O
0.8198 0.6396 0.4214 O
0.8448 0.6897 0.9108 O
0.6446 0.8223 0.5749 O
0.9700 0.4850 0.2479 O
0.1605 0.8395 0.0899 O
0.6667 0.3333 0.0948 O
0.1777 0.8223 0.5749 O
0.4918 0.9835 0.7556 O
0.0165 0.5082 0.7556 O
0.0000 0.0000 0.7597 O
0.3333 0.6667 0.9082 O
0.6667 0.3333 0.5780 O
0.0000 0.0000 0.2383 O
0.0023 0.5011 0.4999 V
0.8327 0.6653 0.1674 V
0.1647 0.3294 0.8334 V
0.3347 0.1673 0.1674 V
0.4989 0.9977 0.4999 V
0.1647 0.8353 0.8334 V
0.4989 0.5011 0.4999 V
0.8327 0.1673 0.1674 V
0.6667 0.3333 0.3346 V
0.6706 0.8353 0.8334 V
0.6667 0.3333 0.7094 V
0.3333 0.6667 0.0421 V
0.0000 0.0000 0.9992 Zn
0.3333 0.6667 0.6651 Zn
0.0000 0.0000 0.3765 Zn
0.0000 0.0000 0.6198 Zn
0.3333 0.6667 0.2931 Zn
0.6667 0.3333 0.9545 Zn
```

Results
ΔE_f   -2313 meV per atom
Polymorph energy (0 for the lowest one)   0.20 eV/f.u.

---

## CaLa2MnO6 (PBE with a Hubbard U)

Data for a relaxed CaLa2MnO6 crystal.

```
CaLa2MnO6
1.0
1.7323 4.1460 3.7530
-8.9704 -2.2100 6.5811
4.6575 -5.4530 3.8745
Ca La O Mn
4 8 24 4
direct
0.5000 0.2500 0.0000 Ca
0.0000 0.0000 0.5000 Ca
0.0000 0.5000 0.5000 Ca
0.5000 0.7500 0.0000 Ca
0.0000 0.7395 0.2395 La
0.5000 0.4895 0.7395 La
0.0000 0.2605 0.7605 La
0.5000 0.5105 0.2605 La
0.0000 0.2395 0.2395 La
0.0000 0.7605 0.7605 La
0.5000 0.0105 0.2605 La
0.5000 0.9895 0.7395 La
0.0940 0.0089 0.2289 O
0.7329 0.5954 0.0558 O
0.5940 0.2588 0.7289 O
0.8269 0.8576 0.0382 O
0.7671 0.6546 0.4442 O
0.2328 0.8454 0.5558 O
0.1731 0.6424 0.9618 O
0.9060 0.4912 0.7711 O
0.6731 0.3924 0.4618 O
0.3269 0.6076 0.5382 O
0.4060 0.2411 0.2711 O
0.0940 0.5089 0.2289 O
0.2672 0.4046 0.9442 O
0.8269 0.3576 0.0382 O
0.3269 0.1076 0.5382 O
0.7671 0.1546 0.4442 O
0.4060 0.7411 0.2711 O
0.1731 0.1424 0.9618 O
0.7329 0.0954 0.0558 O
0.9060 0.9912 0.7711 O
0.2328 0.3454 0.5558 O
0.5940 0.7588 0.7289 O
0.2672 0.9046 0.9442 O
0.6731 0.8924 0.4618 O
0.5000 0.2500 0.5000 Mn
0.0000 0.5000 0.0000 Mn
0.0000 0.0000 0.0000 Mn
0.5000 0.7500 0.5000 Mn
```

Results
ΔE_f   -3192 meV per atom